Record 1
! DyCuGe, relaxed, DFT meta-GGA r2SCAN; values from VASP
! ΔH_f (0 K) ... -2.31 eV/f.u.
! Symmetry ... P6_3mc, No. 186
! E_tot ... -19.67 eV/atom
! Magnetic moment ... 0.00 Bohr magnetons per cell
&SYSTEM
  ibrav = 0, nat = 6, ntyp = 3
/
ATOMIC_SPECIES
Dy 162.50 Dy.upf
Cu 63.55 Cu.upf
Ge 72.64 Ge.upf
CELL_PARAMETERS angstrom
2.116 -3.665 0.000
2.116 3.665 0.000
0.000 0.000 7.203
ATOMIC_POSITIONS angstrom
Dy 0.000 0.000 5.479
Dy 0.000 0.000 1.878
Cu 2.116 -1.222 3.939
Cu 2.116 1.222 0.337
Ge 2.116 1.222 3.493
Ge 2.116 -1.222 7.094



Record 2
! Dy3Cu4Ge4, relaxed, DFT meta-GGA r2SCAN; values from VASP
! ΔH_f (0 K) ... -7.69 eV/f.u.
! Symmetry ... Immm, No. 71
! E_tot ... -18.41 eV/atom
! Magnetic moment ... 0.00 Bohr magnetons per cell
&SYSTEM
  ibrav = 0, nat = 11, ntyp = 3
/
ATOMIC_SPECIES
Dy 162.50 Dy.upf
Cu 63.55 Cu.upf
Ge 72.64 Ge.upf
CELL_PARAMETERS angstrom
-2.085 3.304 6.921
2.085 -3.304 6.921
2.085 3.304 -6.921
ATOMIC_POSITIONS angstrom
Dy 0.000 0.000 12.032
Dy 0.000 0.000 1.809
Dy 0.000 3.304 0.000
Cu 0.000 1.248 9.257
Cu 2.085 2.055 -2.336
Cu 2.085 2.055 2.336
Cu 0.000 1.248 4.584
Ge 2.085 0.000 3.922
Ge 0.000 2.041 6.921
Ge 2.085 1.263 0.000
Ge 0.000 3.304 2.998



Record 3
! DyInCu4, relaxed, DFT meta-GGA r2SCAN; values from VASP
! ΔH_f (0 K) ... -1.90 eV/f.u.
! Symmetry ... F-43m, No. 216
! E_tot ... -16.64 eV/atom
! Magnetic moment ... 0.00 Bohr magnetons per cell
&SYSTEM
  ibrav = 0, nat = 6, ntyp = 3
/
ATOMIC_SPECIES
Dy 162.50 Dy.upf
In 114.82 In.upf
Cu 63.55 Cu.upf
CELL_PARAMETERS angstrom
-2.169 -0.082 4.577
-0.134 4.209 2.815
-4.396 2.399 0.762
ATOMIC_POSITIONS angstrom
Dy 0.000 0.000 0.000
In -1.675 1.631 2.039
Cu -1.992 2.880 4.714
Cu -4.118 1.977 3.690
Cu -3.103 4.118 2.811
Cu -4.185 4.077 5.094